# 1
First-principles (PBE-GGA) data for a relaxed structure of In2Ni3S2, as listed in the Materials Project database.

a = 5.514 Å, b = 5.514 Å, c = 5.514 Å
α = 59.02°, β = 59.02°, γ = 59.02°
Atoms (fractional coordinates):
In 0.000 0.000 0.000
In 0.500 0.500 0.500
Ni 0.000 0.500 0.500
Ni 0.500 0.000 0.500
Ni 0.500 0.500 0.000
S 0.223 0.223 0.223
S 0.777 0.777 0.777

- Formation energy from the elements: -0.55 eV/atom
- Symmetry: R-3m



# 2
First-principles (PBE-GGA) data for a relaxed structure of Na10Zr4Al4Si7S5O48, as listed in the Materials Project database.

a = 8.911 Å, b = 15.514 Å, c = 22.464 Å
α = 91.12°, β = 90.24°, γ = 90.08°
Atoms (fractional coordinates):
Na 0.000 0.000 0.000
Na 0.001 0.665 0.668
Na 0.002 0.333 0.336
Na 0.123 0.177 0.410
Na 0.128 0.517 0.745
Na 0.137 0.839 0.074
Na 0.143 0.180 0.906
Na 0.146 0.523 0.243
Na 0.149 0.843 0.578
Na 0.271 0.000 0.504
Na 0.309 0.994 0.158
Na 0.321 0.357 0.157
Na 0.323 0.687 0.493
Na 0.446 0.188 0.989
Na 0.448 0.522 0.325
Na 0.455 0.161 0.326
Na 0.458 0.494 0.657
Na 0.499 0.500 0.000
Na 0.612 0.019 0.740
Na 0.633 0.680 0.412
Na 0.636 0.338 0.076
Na 0.638 0.347 0.572
Na 0.644 0.680 0.906
Na 0.655 0.019 0.241
Na 0.810 0.492 0.158
Na 0.821 0.190 0.491
Na 0.822 0.858 0.153
Na 0.946 0.688 0.988
Na 0.947 0.356 0.653
Na 0.958 0.993 0.658
Zr 0.121 0.505 0.891
Zr 0.125 0.170 0.560
Zr 0.131 0.831 0.227
Zr 0.143 0.169 0.060
Zr 0.143 0.504 0.395
Zr 0.146 0.835 0.726
Zr 0.622 0.004 0.891
Zr 0.623 0.333 0.227
Zr 0.625 0.666 0.559
Zr 0.636 0.329 0.727
Zr 0.643 0.669 0.059
Zr 0.647 0.000 0.394
Al 0.115 0.842 0.933
Al 0.130 0.166 0.267
Al 0.134 0.506 0.099
Al 0.136 0.502 0.597
Al 0.149 0.159 0.763
Al 0.151 0.838 0.437
Al 0.614 0.341 0.933
Al 0.622 0.666 0.262
Al 0.632 0.002 0.601
Al 0.633 0.337 0.434
Al 0.636 0.008 0.098
Al 0.650 0.663 0.763
Si 0.278 0.362 0.998
Si 0.294 0.696 0.333
Si 0.295 0.027 0.662
Si 0.343 0.332 0.331
Si 0.344 0.994 0.999
Si 0.348 0.665 0.666
Si 0.428 0.494 0.499
Si 0.429 0.164 0.166
Si 0.473 0.195 0.833
Si 0.476 0.528 0.163
Si 0.491 0.861 0.498
Si 0.778 0.862 0.998
Si 0.787 0.192 0.332
Si 0.790 0.526 0.664
Si 0.844 0.494 0.999
Si 0.847 0.164 0.667
Si 0.922 0.664 0.166
Si 0.926 0.994 0.500
Si 0.975 0.697 0.831
Si 0.978 0.030 0.165
Si 0.980 0.362 0.497
S 0.273 0.652 0.998
S 0.274 0.985 0.332
S 0.275 0.317 0.666
S 0.424 0.831 0.833
S 0.493 0.816 0.166
S 0.494 0.487 0.831
S 0.495 0.151 0.497
S 0.771 0.818 0.666
S 0.773 0.152 0.998
S 0.775 0.487 0.330
S 0.843 0.831 0.330
S 0.923 0.332 0.832
S 0.992 0.318 0.166
S 0.992 0.654 0.498
S 0.994 0.987 0.831
O 0.015 0.265 0.111
O 0.016 0.254 0.826
O 0.016 0.601 0.444
O 0.022 0.410 0.834
O 0.023 0.421 0.557
O 0.023 0.578 0.156
O 0.023 0.755 0.890
O 0.023 0.934 0.777
O 0.024 0.091 0.221
O 0.027 0.752 0.170
O 0.036 0.912 0.485
O 0.038 0.081 0.502
O 0.046 0.405 0.437
O 0.049 0.740 0.771
O 0.054 0.067 0.103
O 0.056 0.277 0.219
O 0.056 0.600 0.834
O 0.056 0.944 0.885
O 0.058 0.264 0.500
O 0.059 0.613 0.552
O 0.061 0.933 0.171
O 0.065 0.073 0.827
O 0.066 0.403 0.161
O 0.068 0.739 0.492
O 0.202 0.404 0.661
O 0.202 0.737 0.992
O 0.202 0.933 0.669
O 0.204 0.610 0.050
O 0.205 0.072 0.328
O 0.208 0.264 0.001
O 0.211 0.275 0.718
O 0.213 0.410 0.939
O 0.214 0.067 0.602
O 0.214 0.942 0.385
O 0.219 0.599 0.335
O 0.219 0.741 0.275
O 0.228 0.747 0.669
O 0.230 0.416 0.335
O 0.231 0.080 0.002
O 0.233 0.912 0.985
O 0.238 0.245 0.321
O 0.241 0.579 0.657
O 0.246 0.755 0.392
O 0.247 0.935 0.276
O 0.248 0.424 0.057
O 0.253 0.598 0.943
O 0.256 0.086 0.720
O 0.256 0.266 0.610
O 0.291 0.186 0.822
O 0.295 0.512 0.155
O 0.305 0.850 0.491
O 0.318 0.153 0.224
O 0.319 0.490 0.557
O 0.325 0.826 0.884
O 0.326 0.186 0.107
O 0.327 0.519 0.440
O 0.328 0.833 0.170
O 0.329 0.496 0.835
O 0.330 0.160 0.502
O 0.335 0.846 0.777
O 0.435 0.357 0.271
O 0.436 0.685 0.604
O 0.438 0.661 0.004
O 0.440 0.334 0.670
O 0.440 0.998 0.335
O 0.448 0.023 0.943
O 0.449 0.986 0.058
O 0.463 0.319 0.385
O 0.463 0.351 0.991
O 0.467 0.654 0.721
O 0.474 0.015 0.653
O 0.476 0.683 0.323
O 0.513 0.584 0.224
O 0.513 0.765 0.111
O 0.514 0.099 0.441
O 0.516 0.753 0.826
O 0.520 0.254 0.892
O 0.521 0.928 0.553
O 0.523 0.435 0.776
O 0.523 0.909 0.835
O 0.528 0.077 0.155
O 0.530 0.410 0.487
O 0.531 0.252 0.167
O 0.531 0.584 0.501
O 0.550 0.241 0.775
O 0.552 0.905 0.437
O 0.553 0.571 0.105
O 0.554 0.099 0.835
O 0.555 0.443 0.885
O 0.556 0.772 0.218
O 0.561 0.765 0.501
O 0.564 0.109 0.548
O 0.564 0.433 0.166
O 0.566 0.237 0.491
O 0.566 0.573 0.827
O 0.567 0.901 0.163
O 0.698 0.099 0.334
O 0.703 0.237 0.992
O 0.703 0.573 0.325
O 0.705 0.110 0.050
O 0.705 0.904 0.660
O 0.708 0.239 0.275
O 0.708 0.444 0.381
O 0.708 0.764 0.000
O 0.709 0.431 0.670
O 0.709 0.569 0.606
O 0.710 0.775 0.718
O 0.714 0.910 0.939
O 0.731 0.580 0.002
O 0.733 0.412 0.985
O 0.743 0.252 0.670
O 0.745 0.910 0.333
O 0.747 0.077 0.656
O 0.749 0.754 0.324
O 0.749 0.923 0.057
O 0.754 0.098 0.943
O 0.754 0.254 0.391
O 0.754 0.436 0.274
O 0.755 0.764 0.611
O 0.765 0.591 0.720
O 0.792 0.688 0.822
O 0.798 0.013 0.156
O 0.799 0.345 0.490
O 0.802 0.656 0.220
O 0.821 0.328 0.883
O 0.822 0.987 0.558
O 0.823 0.022 0.442
O 0.828 0.333 0.170
O 0.829 0.688 0.105
O 0.829 0.996 0.836
O 0.830 0.667 0.503
O 0.837 0.347 0.775
O 0.931 0.846 0.275
O 0.938 0.161 0.004
O 0.939 0.830 0.671
O 0.940 0.497 0.335
O 0.941 0.188 0.606
O 0.943 0.825 0.382
O 0.948 0.523 0.943
O 0.949 0.487 0.058
O 0.964 0.850 0.991
O 0.967 0.155 0.722
O 0.969 0.185 0.322
O 0.972 0.514 0.654

- Formation energy from the elements: -2.78 eV/atom
- Symmetry: P1



# 3
First-principles (PBE-GGA) data for a relaxed structure of Mn3Cr3P2, as listed in the Materials Project database.

a = 6.738 Å, b = 6.738 Å, c = 8.996 Å
α = 131.71°, β = 131.71°, γ = 38.36°
Atoms (fractional coordinates):
Mn 0.035 0.035 0.390
Mn 0.330 0.375 0.325
Mn 0.581 0.080 0.053
Mn 0.625 0.670 0.675
Mn 0.920 0.419 0.947
Mn 0.965 0.965 0.610
Cr 0.004 0.551 0.607
Cr 0.135 0.710 0.028
Cr 0.290 0.865 0.972
Cr 0.449 0.996 0.393
Cr 0.652 0.142 0.820
Cr 0.858 0.348 0.180
P 0.191 0.220 0.753
P 0.454 0.468 0.666
P 0.532 0.546 0.334
P 0.780 0.809 0.247

- Formation energy from the elements: -0.37 eV/atom
- Symmetry: C2



# 4
First-principles (PBE-GGA) data for a relaxed structure of ZnCuO3, as listed in the Materials Project database.

a = 3.735 Å, b = 3.735 Å, c = 3.735 Å
α = 90.00°, β = 90.00°, γ = 90.00°
Atoms (fractional coordinates):
Zn 0.000 0.000 0.000
Cu 0.500 0.500 0.500
O 0.000 0.500 0.500
O 0.500 0.000 0.500
O 0.500 0.500 0.000

- Formation energy from the elements: -0.54 eV/atom
- Symmetry: Pm-3m